(1)
Material: LiV3OF11
Method: DFT, GGA+U
State: relaxed

The structure in POSCAR format:
```
LiV3OF11
1.0
5.290 0.000 0.000
-0.012 5.468 0.000
-0.029 -2.596 15.283
Li V O F
2 6 2 22
Direct
0.709 0.314 0.179
0.177 0.636 0.824
0.505 0.169 0.338
0.003 0.002 0.003
0.997 0.327 0.660
0.497 0.497 0.991
0.982 0.643 0.334
0.501 0.834 0.664
0.411 0.469 0.888
0.781 0.374 0.312
0.800 0.018 0.642
0.709 0.185 0.977
0.299 0.137 0.687
0.911 0.045 0.116
0.585 0.208 0.450
0.931 0.387 0.779
0.431 0.133 0.221
0.090 0.298 0.549
0.697 0.525 0.643
0.812 0.698 0.977
0.197 0.301 0.025
0.286 0.462 0.358
0.204 0.643 0.694
0.592 0.535 0.112
0.574 0.867 0.778
0.925 0.723 0.448
0.409 0.789 0.553
0.080 0.628 0.222
0.089 0.955 0.887
0.704 0.864 0.311
0.295 0.816 0.026
0.215 0.965 0.354
```

E_form = -2.9542 eV/atom
energy above the lowest structure with this stoichiometry = 25 meV/atom

(2)
Material: Li5Fe8B8O24
Method: DFT, GGA+U
State: relaxed

The structure in POSCAR format:
```
Li5Fe8B8O24
1.0
5.265 0.000 0.000
0.042 9.098 0.000
0.216 0.103 10.186
Li Fe B O
5 8 8 24
Direct
0.666 0.988 0.846
0.346 0.997 0.093
0.148 0.515 0.334
0.159 0.492 0.835
0.355 0.005 0.582
0.837 0.827 0.124
0.155 0.847 0.371
0.669 0.657 0.866
0.345 0.661 0.617
0.659 0.326 0.364
0.844 0.175 0.622
0.341 0.344 0.116
0.158 0.159 0.874
0.845 0.843 0.625
0.654 0.656 0.364
0.170 0.829 0.876
0.335 0.678 0.124
0.662 0.333 0.868
0.335 0.324 0.623
0.842 0.155 0.126
0.174 0.178 0.378
0.715 0.979 0.639
0.911 0.834 0.915
0.311 0.958 0.885
0.791 0.779 0.320
0.711 0.719 0.656
0.204 0.811 0.153
0.098 0.843 0.584
0.582 0.691 0.075
0.780 0.522 0.367
0.399 0.667 0.402
0.279 0.698 0.836
0.808 0.455 0.872
0.221 0.547 0.144
0.710 0.277 0.174
0.578 0.307 0.567
0.227 0.456 0.645
0.406 0.332 0.906
0.921 0.187 0.423
0.775 0.199 0.823
0.290 0.310 0.338
0.208 0.191 0.657
0.709 0.025 0.114
0.097 0.163 0.089
0.301 0.048 0.383
```

E_form = -2.2858 eV/atom
energy above the lowest structure with this stoichiometry = 5 meV/atom

(3)
Material: CoAuO2
Method: DFT, GGA+U
State: relaxed

The structure in POSCAR format:
```
CoAuO2
1.0
-2.350 1.535 0.817
0.350 -0.756 -2.802
-6.129 -10.475 2.062
Co Au O
2 2 4
Direct
0.000 0.000 0.000
0.000 0.000 0.500
0.667 0.333 0.750
0.333 0.667 0.250
0.333 0.667 0.422
0.333 0.667 0.078
0.667 0.333 0.578
0.667 0.333 0.922
```

E_form = -0.9598 eV/atom